The following is a DFT calculation (meta-GGA r2SCAN) of crystalline La3Se4 at its relaxed geometry.

abc: 7.8769 7.8769 7.8769
angles: 109.47 109.47 109.47
With the nearest neighbours (Å) after each atom.
Element x y z (fractional)
La: 0.1250 0.7500 0.8750  8 Se 3.06-3.24
Se: 0.0000 0.3508 0.5000  6 La 3.06-3.24
Se: 0.5000 0.0000 0.8508  6 La 3.06-3.24
Se: 0.8508 0.5000 0.0000  6 La 3.06-3.24
Se: 0.5000 0.0000 0.3508  6 La 3.06-3.24
Se: 0.3508 0.5000 0.0000  6 La 3.06-3.24
Se: 0.1492 0.1492 0.1492  6 La 3.06-3.24
La: 0.3750 0.2500 0.6250  8 Se 3.06-3.24
Se: 0.0000 0.8508 0.5000  6 La 3.06-3.24
La: 0.6250 0.3750 0.2500  8 Se 3.06-3.24
La: 0.2500 0.6250 0.3750  8 Se 3.06-3.24
Se: 0.6492 0.6492 0.6492  6 La 3.06-3.24
La: 0.7500 0.8750 0.1250  8 Se 3.06-3.24
La: 0.8750 0.1250 0.7500  8 Se 3.06-3.24


The following is a DFT calculation (meta-GGA r2SCAN) of crystalline SmSi2 at its relaxed geometry.

abc: 4.2528 4.2528 7.3445
angles: 106.83 106.83 90.00
With the nearest neighbours (Å) after each atom.
Element x y z (fractional)
Si: 0.2888 0.0388 0.0777  3 Si 2.31-2.37
Sm: 0.8750 0.6250 0.2500  12 Si 3.06-3.22
Si: 0.7111 0.9612 0.9223  3 Si 2.31-2.37
Si: 0.4612 0.2112 0.4223  3 Si 2.31-2.37
Sm: 0.1250 0.3750 0.7500  12 Si 3.06-3.22
Si: 0.5389 0.7889 0.5777  3 Si 2.31-2.37


The following is a DFT calculation (meta-GGA r2SCAN) of crystalline Na2FeO3 at its relaxed geometry.

Calculated values
E above lowest polymorph	20	meV per atom

abc: 5.2188 8.2841 6.3402
angles: 78.02 77.71 76.58
With the nearest neighbours (Å) after each atom.
Element x y z (fractional)
O: 0.2555 0.1259 0.6753  2 Fe 1.92-1.93
Na: 0.0003 0.0000 0.5001  6 O 2.20-2.42
Fe: 0.0002 0.3354 0.6613  4 O 1.83-1.93
O: 0.2821 0.7568 0.0331  1 Fe 1.83
Fe: 0.0001 0.6650 0.3381  4 O 1.83-1.93
Na: 0.4901 0.8252 0.6648  5 O 2.23-2.48
Na: 0.5000 0.5001 0.4998  6 O 2.20-2.39
O: 0.6953 0.9500 0.8420  1 Fe 1.83
O: 0.1953 0.4500 0.3420  1 Fe 1.83
Na: 0.5003 0.5000 0.0001  6 O 2.20-2.42
Fe: 0.5002 0.8354 0.1613  4 O 1.83-1.93
Na: 0.0000 0.0001 0.9998  6 O 2.20-2.39
O: 0.2444 0.3742 0.8246  2 Fe 1.92-1.93
O: 0.7444 0.8742 0.3246  2 Fe 1.92-1.93
O: 0.3044 0.0498 0.1583  1 Fe 1.83
Fe: 0.5001 0.1650 0.8381  4 O 1.83-1.93
O: 0.2173 0.7431 0.4673  1 Fe 1.83
Na: 0.9901 0.3252 0.1648  5 O 2.23-2.48
O: 0.7821 0.2568 0.5330  1 Fe 1.83
Na: 0.5103 0.1744 0.3353  5 O 2.23-2.49
O: 0.7173 0.2431 0.9672  1 Fe 1.83
Na: 0.0102 0.6744 0.8354  5 O 2.23-2.49
O: 0.7555 0.6259 0.1753  2 Fe 1.92-1.93
O: 0.8044 0.5498 0.6583  1 Fe 1.83


The following is a DFT calculation (meta-GGA r2SCAN) of crystalline CeAl8Fe4 at its relaxed geometry.

abc: 4.9735 6.6908 6.6906
angles: 82.05 68.19 68.19
With the nearest neighbours (Å) after each atom.
Element x y z (fractional)
Fe: 0.0000 0.5000 0.0000  2 Fe 2.49, 8 Al 2.53-2.66
Al: 0.5000 0.7750 0.2250  4 Fe 2.53, 6 Al 2.70-2.80
Ce: 0.0000 0.0000 0.0000  12 Al 3.03-3.18, 8 Fe 3.35
Al: 0.6551 0.3450 0.3450  4 Fe 2.66, 5 Al 2.70-2.77
Al: 0.3449 0.6550 0.6550  4 Fe 2.66, 5 Al 2.70-2.77
Al: 0.7249 0.7749 0.7749  4 Fe 2.53, 6 Al 2.70-2.80
Al: 0.0000 0.3449 0.6551  4 Fe 2.66, 5 Al 2.70-2.77
Al: 0.2751 0.2251 0.2251  4 Fe 2.53, 6 Al 2.70-2.80
Fe: 0.5000 0.5000 0.0000  2 Fe 2.49, 8 Al 2.53-2.66
Al: 0.5000 0.2250 0.7750  4 Fe 2.53, 6 Al 2.70-2.80
Fe: 0.0000 0.0000 0.5000  2 Fe 2.49, 8 Al 2.53-2.66
Fe: 0.5000 0.0000 0.5000  2 Fe 2.49, 8 Al 2.53-2.66
Al: 0.0000 0.6551 0.3449  4 Fe 2.66, 5 Al 2.70-2.77


The following is a DFT calculation (meta-GGA r2SCAN) of crystalline GdGa3Os at its relaxed geometry.

abc: 6.4209 6.4209 6.4209
angles: 90.00 90.00 90.00
With the nearest neighbours (Å) after each atom.
Element x y z (fractional)
Ga: 0.7076 0.7076 0.2924  3 Os 2.66, 3 Ga 2.67, 3 Gd 2.97
Ga: 0.7076 0.7076 0.7076  3 Os 2.66, 3 Ga 2.67, 3 Gd 2.97
Ga: 0.7076 0.2924 0.2924  3 Os 2.66, 3 Ga 2.67, 3 Gd 2.97
Os: 0.5000 0.0000 0.5000  8 Ga 2.66
Os: 0.5000 0.5000 0.0000  8 Ga 2.66
Ga: 0.7076 0.2924 0.7076  3 Os 2.66, 3 Ga 2.67, 3 Gd 2.97
Ga: 0.2924 0.7076 0.2924  3 Os 2.66, 3 Ga 2.67, 3 Gd 2.97
Os: 0.0000 0.5000 0.5000  8 Ga 2.66
Ga: 0.2924 0.2924 0.2924  3 Os 2.66, 3 Ga 2.67, 3 Gd 2.97
Ga: 0.2924 0.7076 0.7076  3 Os 2.66, 3 Ga 2.67, 3 Gd 2.97
Ga: 0.2924 0.2924 0.7076  3 Os 2.66, 3 Ga 2.67, 3 Gd 2.97
Gd: 0.0000 0.0000 0.5000  10 Ga 2.97-3.21, 4 Os 3.21
Gd: 0.0000 0.5000 0.0000  10 Ga 2.97-3.21, 4 Os 3.21
Ga: 0.0000 0.0000 0.0000  6 Gd 3.21, 8 Ga 3.25
Gd: 0.5000 0.0000 0.0000  10 Ga 2.97-3.21, 4 Os 3.21


The following is a DFT calculation (meta-GGA r2SCAN) of crystalline LiBH4 at its relaxed geometry.

abc: 4.3174 5.7110 8.4914
angles: 90.00 90.00 90.00
With the nearest neighbours (Å) after each atom.
Element x y z (fractional)
H: 0.9793 0.8185 0.2187  1 B 1.22
B: 0.2500 0.3475 0.3631  4 H 1.22
Li: 0.2500 0.0803 0.1455  6 H 1.94-2.11
H: 0.4793 0.3185 0.2813  1 B 1.22
H: 0.2500 0.9515 0.9120  1 B 1.22
Li: 0.2500 0.4197 0.6455  6 H 1.94-2.11
B: 0.7500 0.8475 0.1369  4 H 1.22
Li: 0.7500 0.9197 0.8545  6 H 1.94-2.11
Li: 0.7500 0.5803 0.3545  6 H 1.94-2.11
H: 0.0207 0.1815 0.7813  1 B 1.22
H: 0.7500 0.0485 0.0880  1 B 1.22
H: 0.7500 0.4515 0.5880  1 B 1.22
H: 0.5207 0.8185 0.2187  1 B 1.22
H: 0.7500 0.7037 0.0312  1 B 1.22
H: 0.5207 0.6815 0.7187  1 B 1.22
B: 0.7500 0.6525 0.6369  4 H 1.22
H: 0.7500 0.7963 0.5312  1 B 1.22
H: 0.2500 0.2037 0.4688  1 B 1.22
H: 0.9793 0.6815 0.7187  1 B 1.22
H: 0.4793 0.1815 0.7813  1 B 1.22
H: 0.2500 0.5485 0.4120  1 B 1.22
H: 0.0207 0.3185 0.2813  1 B 1.22
B: 0.2500 0.1525 0.8631  4 H 1.22
H: 0.2500 0.2963 0.9688  1 B 1.22


Results for volume: 376 121 257 192 265 209 (in Å³ per cell, following the order of the records).
Results for E_form: -2.310 -0.625 -1.677 -0.361 -0.529 -0.381 (in eV per atom, following the order of the records).